Model i:
First-principles (PBE+U) data for crystalline BaErMn2O5 at its relaxed geometry, as listed in the Materials Project database.

It has space group P4/mmm (No. 123), with a = 3.9725 Å, b = 3.9725 Å, c = 7.7665 Å, α = 90.00°, β = 90.00° and γ = 90.00°. The asymmetric unit holds Ba at (0.0000, 0.0000, 0.0000), Er at (0.0000, 0.0000, 0.5000), Mn at (0.5000, 0.5000, 0.2529), O at (0.0000, 0.5000, 0.2547) and O at (0.5000, 0.5000, 0.5000).

---

Model ii:
First-principles (PBE+U) data for crystalline BaErMn2O5 at its relaxed geometry, as listed in the Materials Project database.

It has space group P4/nmm (No. 129, origin choice 2), with a = 5.6097 Å, b = 5.6097 Å, c = 7.8189 Å, α = 90.00°, β = 90.00° and γ = 90.00°. The asymmetric unit holds Ba at (0.2500, 0.7500, 0.0000), Er at (0.2500, 0.7500, 0.5000), Mn at (0.2500, 0.2500, 0.2586), Mn at (0.2500, 0.2500, 0.7235), O at (0.0060, 0.0060, 0.6779) and O at (0.2500, 0.2500, 0.9938).

---

Which is the most stable structure? model ii is the most stable.